[1]
# NdDy3, relaxed, DFT PBE
data_NdDy3
_space_group_name_H-M_alt 'P m -3 m'
_space_group_IT_number 221
_space_group_name_Hall '-P 4 2 3'
_cell_length_a 5.0650
_cell_length_b 5.0650
_cell_length_c 5.0650
_cell_angle_alpha 90.00
_cell_angle_beta 90.00
_cell_angle_gamma 90.00
loop_
_atom_site_label
_atom_site_type_symbol
_atom_site_fract_x
_atom_site_fract_y
_atom_site_fract_z
Nd1 Nd 0.0000 0.0000 0.0000
Dy1 Dy 0.0000 0.5000 0.5000
# - Volume: 129.94 Å³/cell
# - Relative energy among the computed polymorphs: 0.0 meV/atom

***

[2]
# Mg3Bi2N4, relaxed, DFT PBE
data_Mg3Bi2N4
_space_group_name_H-M_alt 'C 1 2/c 1'
_space_group_IT_number 15
_cell_length_a 9.8002
_cell_length_b 10.4711
_cell_length_c 5.4581
_cell_angle_alpha 90.00
_cell_angle_beta 101.36
_cell_angle_gamma 90.00
loop_
_space_group_symop_operation_xyz
'x,y,z'
'-x,-y,-z'
'-x,y,-z+1/2'
'x,-y,z+1/2'
'x+1/2,y+1/2,z'
'-x+1/2,-y+1/2,-z'
'-x+1/2,y+1/2,-z+1/2'
'x+1/2,-y+1/2,z+1/2'
loop_
_atom_site_label
_atom_site_type_symbol
_atom_site_fract_x
_atom_site_fract_y
_atom_site_fract_z
Mg1 Mg 0.0000 0.2244 0.2500
Mg2 Mg 0.1101 0.4189 0.6425
Bi1 Bi 0.1785 0.1153 0.8031
N1 N 0.0940 0.3783 0.0347
N2 N 0.1803 0.1018 0.3858
# - Volume: 549.13 Å³/cell

***

[3]
# MgGaWS4, relaxed, DFT PBE
data_MgGaWS4
_space_group_name_H-M_alt 'I m m 2'
_space_group_IT_number 44
_cell_length_a 6.8920
_cell_length_b 7.4087
_cell_length_c 10.8045
_cell_angle_alpha 90.00
_cell_angle_beta 90.00
_cell_angle_gamma 90.00
loop_
_space_group_symop_operation_xyz
'x,y,z'
'-x,-y,z'
'-x,y,z'
'x,-y,z'
'x+1/2,y+1/2,z+1/2'
'-x+1/2,-y+1/2,z+1/2'
'-x+1/2,y+1/2,z+1/2'
'x+1/2,-y+1/2,z+1/2'
loop_
_atom_site_label
_atom_site_type_symbol
_atom_site_fract_x
_atom_site_fract_y
_atom_site_fract_z
Mg1 Mg 0.0000 0.0000 0.0000
Mg2 Mg 0.0000 0.5000 0.2521
Ga1 Ga 0.0000 0.2569 0.6470
W1 W 0.2021 0.0000 0.3838
S1 S 0.0000 0.2576 0.4087
S2 S 0.0000 0.2806 0.8734
S3 S 0.2337 0.0000 0.6049
S4 S 0.2482 0.0000 0.1633
# - Volume: 551.68 Å³/cell

***

[4]
# B2Pd5, relaxed, DFT PBE
data_B2Pd5
_space_group_name_H-M_alt 'C 1 2/c 1'
_space_group_IT_number 15
_cell_length_a 12.9725
_cell_length_b 5.0124
_cell_length_c 5.5317
_cell_angle_alpha 90.00
_cell_angle_beta 97.09
_cell_angle_gamma 90.00
loop_
_space_group_symop_operation_xyz
'x,y,z'
'-x,-y,-z'
'-x,y,-z+1/2'
'x,-y,z+1/2'
'x+1/2,y+1/2,z'
'-x+1/2,-y+1/2,-z'
'-x+1/2,y+1/2,-z+1/2'
'x+1/2,-y+1/2,z+1/2'
loop_
_atom_site_label
_atom_site_type_symbol
_atom_site_fract_x
_atom_site_fract_y
_atom_site_fract_z
B1 B 0.1143 0.2017 0.0785
Pd1 Pd 0.0000 0.0687 0.7500
Pd2 Pd 0.0960 0.4090 0.4195
Pd3 Pd 0.2122 0.0706 0.8149
# - Volume: 356.95 Å³/cell

***

[5]
# MnFe3, relaxed, DFT PBE
data_MnFe3
_space_group_name_H-M_alt 'P -6 m 2'
_space_group_IT_number 187
_space_group_name_Hall 'P -6 2'
_cell_length_a 2.4703
_cell_length_b 2.4703
_cell_length_c 7.8265
_cell_angle_alpha 90.00
_cell_angle_beta 90.00
_cell_angle_gamma 120.00
loop_
_atom_site_label
_atom_site_type_symbol
_atom_site_fract_x
_atom_site_fract_y
_atom_site_fract_z
Mn1 Mn 0.0000 0.0000 0.0000
Fe1 Fe 0.0000 0.0000 0.5000
Fe2 Fe 0.6667 0.3333 0.2505
# - Volume: 41.36 Å³/cell

***

[6]
# NaAuO2, relaxed, DFT PBE
data_NaAuO2
_space_group_name_H-M_alt 'C 1 2/m 1'
_space_group_IT_number 12
_cell_length_a 6.8150
_cell_length_b 3.0679
_cell_length_c 6.2503
_cell_angle_alpha 90.00
_cell_angle_beta 119.30
_cell_angle_gamma 90.00
loop_
_space_group_symop_operation_xyz
'x,y,z'
'-x,-y,-z'
'-x,y,-z'
'x,-y,z'
'x+1/2,y+1/2,z'
'-x+1/2,-y+1/2,-z'
'-x+1/2,y+1/2,-z'
'x+1/2,-y+1/2,z'
loop_
_atom_site_label
_atom_site_type_symbol
_atom_site_fract_x
_atom_site_fract_y
_atom_site_fract_z
Na1 Na 0.0000 0.0000 0.0000
Au1 Au 0.0000 0.0000 0.5000
O1 O 0.0915 0.5000 0.7477
# - Volume: 113.96 Å³/cell

***

Computed values of energy of formation from the pure elements (unit: meV per atom) for the preceding records, in sequence: 19; -204; -1004; -255; 66; -1112.